Computed, not measured: a relaxed Ni3SbN crystal at the PBE-GGA level of DFT.

CIF file:
```
data_Ni3SbN
_symmetry_space_group_name_H-M 'P 4/m m m'
_symmetry_Int_Tables_number 123
_symmetry_space_group_name_Hall '-P 4 2'
_cell_length_a 3.932
_cell_length_b 3.932
_cell_length_c 3.919
_cell_angle_alpha 90.00
_cell_angle_beta 90.00
_cell_angle_gamma 90.00
loop_
_atom_site_label
_atom_site_type_symbol
_atom_site_fract_x
_atom_site_fract_y
_atom_site_fract_z
Ni1 Ni 0.000 0.000 0.000
Ni2 Ni 0.000 0.500 0.500
Sb1 Sb 0.500 0.500 0.000
N1 N 0.000 0.000 0.500
```

Output
Total DFT energy (no corrections) ... -5.90 eV per atom



Computed, not measured: a relaxed Ni4Se3N2 crystal at the PBE-GGA level of DFT.

CIF file:
```
data_Ni4Se3N2
_symmetry_space_group_name_H-M 'P n m a'
_symmetry_Int_Tables_number 62
_cell_length_a 6.014
_cell_length_b 10.116
_cell_length_c 8.366
_cell_angle_alpha 90.00
_cell_angle_beta 90.00
_cell_angle_gamma 90.00
loop_
_symmetry_equiv_pos_as_xyz
'x,y,z'
'-x,-y,-z'
'-x+1/2,-y,z+1/2'
'x+1/2,y,-z+1/2'
'x+1/2,-y+1/2,-z+1/2'
'-x+1/2,y+1/2,z+1/2'
'-x,y+1/2,-z'
'x,-y+1/2,z'
loop_
_atom_site_label
_atom_site_type_symbol
_atom_site_fract_x
_atom_site_fract_y
_atom_site_fract_z
Ni1 Ni 0.043 0.250 0.167
Ni2 Ni 0.205 0.542 0.068
Ni3 Ni 0.222 0.250 0.908
Se1 Se 0.062 0.056 0.326
Se2 Se 0.120 0.250 0.645
N1 N 0.062 0.120 0.008
```

Output
Total DFT energy (no corrections) ... -5.47 eV per atom